DFT (PBE+U) results for a relaxed structure of U2NiP2H24O24.

Cell: 7.0195 7.0540 11.2842 Å, 81.05 82.84 88.76°
With the nearest neighbours (Å) after each atom.
Positions (direct):
U1 0.2363 0.2311 0.0744  2 O 1.81-1.83
U2 0.7637 0.7689 0.9256  2 O 1.81-1.83
Ni1 0.5000 0.0000 0.5000  6 O 2.06-2.16
P1 0.2499 0.7482 0.9990  4 O 1.55
P2 0.7501 0.2518 0.0010  4 O 1.55
H1 0.0511 0.8045 0.3653  1 O 0.98
H2 0.0533 0.8298 0.2246  1 O 0.99
H3 0.1249 0.4393 0.6910  1 O 1.00
H4 0.1525 0.6268 0.7487  1 O 0.98
H5 0.2402 0.1826 0.3901  1 O 0.99
H6 0.2471 0.0690 0.6878  1 O 0.99
H7 0.2469 0.7155 0.5401  1 O 1.00
H8 0.3506 0.7223 0.4049  1 O 1.00
H9 0.3633 0.3469 0.4118  1 O 1.00
H10 0.3651 0.5674 0.2346  1 O 0.99
H11 0.4102 0.9404 0.7510  1 O 0.98
H12 0.4372 0.4621 0.7095  1 O 0.99
H13 0.5628 0.5379 0.2905  1 O 0.99
H14 0.5898 0.0596 0.2490  1 O 0.98
H15 0.6349 0.4326 0.7654  1 O 0.99
H16 0.6367 0.6531 0.5882  1 O 1.00
H17 0.6494 0.2777 0.5951  1 O 1.00
H18 0.7531 0.2845 0.4599  1 O 1.00
H19 0.7529 0.9310 0.3122  1 O 0.99
H20 0.7598 0.8174 0.6099  1 O 0.99
H21 0.8475 0.3732 0.2513  1 O 0.98
H22 0.8751 0.5607 0.3090  1 O 1.00
H23 0.9467 0.1702 0.7754  1 O 0.99
H24 0.9489 0.1955 0.6347  1 O 0.98
O1 0.0285 0.2112 0.6978  2 H 0.98-0.99
O2 0.0891 0.7369 0.9181  1 P 1.55
O3 0.1965 0.1853 0.2396  1 H 1.76, 1 U 1.83
O4 0.2018 0.5595 0.6818  2 H 0.98-1.00
O5 0.2028 0.9052 0.0808  1 P 1.55
O6 0.2665 0.5544 0.0840  1 P 1.55
O7 0.2732 0.2712 0.9106  1 U 1.81
O8 0.2898 0.8043 0.4641  2 H 1.00
O9 0.3103 0.2203 0.4533  2 H 0.99-1.00
O10 0.3650 0.9918 0.6736  2 H 0.98-0.99
O11 0.4226 0.5587 0.3107  2 H 0.99
O12 0.4399 0.7976 0.9146  1 P 1.55
O13 0.5601 0.2024 0.0854  1 P 1.55
O14 0.5774 0.4413 0.6893  2 H 0.99
O15 0.6350 0.0082 0.3264  2 H 0.98-0.99
O16 0.6897 0.7797 0.5467  2 H 0.99-1.00
O17 0.7102 0.1957 0.5359  2 H 1.00
O18 0.7268 0.7288 0.0894  1 U 1.81
O19 0.7335 0.4456 0.9160  1 P 1.55
O20 0.7972 0.0948 0.9192  1 P 1.55
O21 0.7982 0.4405 0.3182  2 H 0.98-1.00
O22 0.8035 0.8147 0.7604  1 H 1.76, 1 U 1.83
O23 0.9109 0.2631 0.0819  1 P 1.55
O24 0.9715 0.7888 0.3022  2 H 0.98-0.99

Calculated values
Spin magnetization, μB per formula unit: 1.997
Volume, Å³/cell: 548
E (MP2020), eV/cell: -336.42